(1)
The following is a PBE calculation of a geometry-optimized CsFeN structure, from the Materials Project database.

Calculated values
density	4.9	g/cm³
E_form	-0.0996	eV/atom

Structure (CIF):
```
data_CsFeN
_symmetry_space_group_name_H-M 'P 1'
_symmetry_Int_Tables_number 1
_symmetry_space_group_name_Hall 'P 1'
_cell_length_a 11.038
_cell_length_b 3.567
_cell_length_c 6.999
_cell_angle_alpha 90.00
_cell_angle_beta 90.00
_cell_angle_gamma 90.00
loop_
_atom_site_label
_atom_site_fract_x
_atom_site_fract_y
_atom_site_fract_z
Cs1 0.170 0.250 0.062
Cs2 0.330 0.750 0.562
Cs3 0.670 0.250 0.438
Cs4 0.830 0.750 0.938
Fe1 0.033 0.250 0.595
Fe2 0.467 0.750 0.095
Fe3 0.533 0.250 0.905
Fe4 0.967 0.750 0.405
N1 0.047 0.750 0.638
N2 0.453 0.250 0.138
N3 0.547 0.750 0.862
N4 0.953 0.250 0.362
```


(2)
The following is a PBE calculation of a geometry-optimized Li3SbH18S4O9 structure, from the Materials Project database.

Calculated values
density	1.9	g/cm³
E_form	-1.2269	eV/atom

Structure (CIF):
```
data_Li3SbH18S4O9
_symmetry_space_group_name_H-M 'P 1'
_symmetry_Int_Tables_number 1
_symmetry_space_group_name_Hall 'P 1'
_cell_length_a 11.540
_cell_length_b 11.540
_cell_length_c 11.540
_cell_angle_alpha 90.00
_cell_angle_beta 90.00
_cell_angle_gamma 90.00
loop_
_atom_site_label
_atom_site_fract_x
_atom_site_fract_y
_atom_site_fract_z
Li1 0.050 0.450 0.550
Li2 0.090 0.090 0.090
Li3 0.205 0.295 0.705
Li4 0.295 0.705 0.205
Li5 0.410 0.910 0.590
Li6 0.450 0.550 0.050
Li7 0.550 0.050 0.450
Li8 0.590 0.410 0.910
Li9 0.705 0.205 0.295
Li10 0.795 0.795 0.795
Li11 0.910 0.590 0.410
Li12 0.950 0.950 0.950
Sb1 0.038 0.962 0.462
Sb2 0.462 0.038 0.962
Sb3 0.538 0.538 0.538
Sb4 0.962 0.462 0.038
H1 0.016 0.748 0.843
H2 0.027 0.695 0.572
H3 0.037 0.835 0.741
H4 0.056 0.773 0.233
H5 0.065 0.689 0.127
H6 0.072 0.473 0.305
H7 0.077 0.132 0.863
H8 0.127 0.065 0.689
H9 0.132 0.863 0.077
H10 0.137 0.577 0.368
H11 0.157 0.516 0.752
H12 0.165 0.241 0.463
H13 0.189 0.373 0.935
H14 0.195 0.928 0.973
H15 0.227 0.733 0.444
H16 0.233 0.056 0.773
H17 0.241 0.463 0.165
H18 0.248 0.657 0.984
H19 0.252 0.343 0.484
H20 0.259 0.537 0.665
H21 0.267 0.944 0.273
H22 0.273 0.267 0.944
H23 0.305 0.072 0.473
H24 0.311 0.627 0.435
H25 0.335 0.759 0.963
H26 0.343 0.484 0.252
H27 0.363 0.423 0.868
H28 0.368 0.137 0.577
H29 0.373 0.935 0.189
H30 0.423 0.868 0.363
H31 0.428 0.527 0.805
H32 0.435 0.311 0.627
H33 0.444 0.227 0.733
H34 0.463 0.165 0.241
H35 0.473 0.305 0.072
H36 0.484 0.252 0.343
H37 0.516 0.752 0.157
H38 0.527 0.805 0.428
H39 0.537 0.665 0.259
H40 0.556 0.727 0.767
H41 0.565 0.811 0.873
H42 0.572 0.027 0.695
H43 0.577 0.368 0.137
H44 0.627 0.435 0.311
H45 0.632 0.637 0.923
H46 0.637 0.923 0.632
H47 0.657 0.984 0.248
H48 0.665 0.259 0.537
H49 0.689 0.127 0.065
H50 0.695 0.572 0.027
H51 0.727 0.767 0.556
H52 0.733 0.444 0.227
H53 0.741 0.037 0.835
H54 0.748 0.843 0.016
H55 0.752 0.157 0.516
H56 0.759 0.963 0.335
H57 0.767 0.556 0.727
H58 0.773 0.233 0.056
H59 0.805 0.428 0.527
H60 0.811 0.873 0.565
H61 0.835 0.741 0.037
H62 0.843 0.016 0.748
H63 0.863 0.077 0.132
H64 0.868 0.363 0.423
H65 0.873 0.565 0.811
H66 0.923 0.632 0.637
H67 0.928 0.973 0.195
H68 0.935 0.189 0.373
H69 0.944 0.273 0.267
H70 0.963 0.335 0.759
H71 0.973 0.195 0.928
H72 0.984 0.248 0.657
S1 0.080 0.580 0.920
S2 0.083 0.344 0.155
S3 0.155 0.083 0.344
S4 0.156 0.845 0.583
S5 0.344 0.155 0.083
S6 0.345 0.917 0.844
S7 0.417 0.656 0.655
S8 0.420 0.420 0.420
S9 0.580 0.920 0.080
S10 0.583 0.156 0.845
S11 0.655 0.417 0.656
S12 0.656 0.655 0.417
S13 0.844 0.345 0.917
S14 0.845 0.583 0.156
S15 0.917 0.844 0.345
S16 0.920 0.080 0.580
O1 0.014 0.321 0.691
O2 0.026 0.128 0.932
O3 0.068 0.526 0.372
O4 0.111 0.744 0.173
O5 0.128 0.932 0.026
O6 0.173 0.111 0.744
O7 0.179 0.309 0.514
O8 0.191 0.486 0.679
O9 0.244 0.327 0.889
O10 0.256 0.673 0.389
O11 0.309 0.514 0.179
O12 0.321 0.691 0.014
O13 0.327 0.889 0.244
O14 0.372 0.068 0.526
O15 0.389 0.256 0.673
O16 0.432 0.474 0.872
O17 0.474 0.872 0.432
O18 0.486 0.679 0.191
O19 0.514 0.179 0.309
O20 0.526 0.372 0.068
O21 0.568 0.974 0.628
O22 0.611 0.756 0.827
O23 0.628 0.568 0.974
O24 0.673 0.389 0.256
O25 0.679 0.191 0.486
O26 0.691 0.014 0.321
O27 0.744 0.173 0.111
O28 0.756 0.827 0.611
O29 0.809 0.986 0.821
O30 0.821 0.809 0.986
O31 0.827 0.611 0.756
O32 0.872 0.432 0.474
O33 0.889 0.244 0.327
O34 0.932 0.026 0.128
O35 0.974 0.628 0.568
O36 0.986 0.821 0.809
```


(3)
The following is a PBE calculation of a geometry-optimized Re2SCl12 structure, from the Materials Project database.

Calculated values
density	3.0	g/cm³
E_form	-0.9702	eV/atom

Structure (CIF):
```
data_Re2SCl12
_symmetry_space_group_name_H-M 'P 1'
_symmetry_Int_Tables_number 1
_symmetry_space_group_name_Hall 'P 1'
_cell_length_a 8.728
_cell_length_b 11.399
_cell_length_c 9.153
_cell_angle_alpha 90.00
_cell_angle_beta 95.00
_cell_angle_gamma 90.00
loop_
_atom_site_label
_atom_site_fract_x
_atom_site_fract_y
_atom_site_fract_z
Re1 0.139 0.250 0.392
Re2 0.360 0.250 0.626
Re3 0.640 0.750 0.374
Re4 0.861 0.750 0.608
S1 0.330 0.750 0.067
S2 0.670 0.250 0.933
Cl1 0.112 0.750 0.122
Cl2 0.115 0.105 0.217
Cl3 0.115 0.395 0.217
Cl4 0.120 0.750 0.580
Cl5 0.171 0.097 0.581
Cl6 0.171 0.403 0.581
Cl7 0.310 0.250 0.873
Cl8 0.328 0.612 0.926
Cl9 0.328 0.888 0.926
Cl10 0.417 0.250 0.373
Cl11 0.453 0.605 0.323
Cl12 0.453 0.895 0.323
Cl13 0.547 0.105 0.677
Cl14 0.547 0.395 0.677
Cl15 0.583 0.750 0.627
Cl16 0.672 0.112 0.074
Cl17 0.672 0.388 0.074
Cl18 0.690 0.750 0.127
Cl19 0.829 0.597 0.419
Cl20 0.829 0.903 0.419
Cl21 0.880 0.250 0.420
Cl22 0.885 0.605 0.783
Cl23 0.885 0.895 0.783
Cl24 0.888 0.250 0.878
```


(4)
The following is a PBE calculation of a geometry-optimized CeSb12Os4 structure, from the Materials Project database.

Calculated values
density	9.4	g/cm³
E_form	-0.1762	eV/atom

Structure (CIF):
```
data_CeSb12Os4
_symmetry_space_group_name_H-M 'P 1'
_symmetry_Int_Tables_number 1
_symmetry_space_group_name_Hall 'P 1'
_cell_length_a 8.142
_cell_length_b 8.142
_cell_length_c 8.142
_cell_angle_alpha 109.47
_cell_angle_beta 109.47
_cell_angle_gamma 109.47
loop_
_atom_site_label
_atom_site_fract_x
_atom_site_fract_y
_atom_site_fract_z
Ce1 0.000 0.000 0.000
Sb1 0.157 0.338 0.495
Sb2 0.157 0.662 0.819
Sb3 0.181 0.843 0.338
Sb4 0.338 0.181 0.843
Sb5 0.338 0.495 0.157
Sb6 0.495 0.157 0.338
Sb7 0.505 0.843 0.662
Sb8 0.662 0.505 0.843
Sb9 0.662 0.819 0.157
Sb10 0.819 0.157 0.662
Sb11 0.843 0.338 0.181
Sb12 0.843 0.662 0.505
Os1 0.000 0.000 0.500
Os2 0.000 0.500 0.000
Os3 0.500 0.000 0.000
Os4 0.500 0.500 0.500
```


(5)
The following is a PBE calculation of a geometry-optimized EuHo2Se4 structure, from the Materials Project database.

Calculated values
density	6.9	g/cm³
E_form	-2.2004	eV/atom

Structure (CIF):
```
data_EuHo2Se4
_symmetry_space_group_name_H-M 'P 1'
_symmetry_Int_Tables_number 1
_symmetry_space_group_name_Hall 'P 1'
_cell_length_a 12.520
_cell_length_b 4.113
_cell_length_c 14.865
_cell_angle_alpha 90.00
_cell_angle_beta 90.00
_cell_angle_gamma 90.00
loop_
_atom_site_label
_atom_site_fract_x
_atom_site_fract_y
_atom_site_fract_z
Eu1 0.241 0.250 0.165
Eu2 0.259 0.750 0.665
Eu3 0.741 0.250 0.335
Eu4 0.759 0.750 0.835
Ho1 0.065 0.250 0.390
Ho2 0.082 0.250 0.902
Ho3 0.418 0.750 0.402
Ho4 0.435 0.750 0.890
Ho5 0.565 0.250 0.110
Ho6 0.582 0.250 0.598
Ho7 0.918 0.750 0.098
Ho8 0.935 0.750 0.610
Se1 0.025 0.750 0.784
Se2 0.090 0.250 0.579
Se3 0.132 0.750 0.030
Se4 0.207 0.750 0.325
Se5 0.293 0.250 0.825
Se6 0.368 0.250 0.530
Se7 0.410 0.750 0.079
Se8 0.475 0.250 0.284
Se9 0.525 0.750 0.716
Se10 0.590 0.250 0.921
Se11 0.632 0.750 0.470
Se12 0.707 0.750 0.175
Se13 0.793 0.250 0.675
Se14 0.868 0.250 0.970
Se15 0.910 0.750 0.421
Se16 0.975 0.250 0.216
```